Material: TeCl4
Method: DFT, PBE-GGA
State: relaxed

## Properties
symmetry = C2/c (15)
E (MP2020) = -3.2075 eV/atom
electronic total energy = -0.1996 Ry/atom

Cell lengths 10.5410, 10.5410, 16.2180 Å; angles 112.74, 112.74, 62.73 degrees
With the nearest neighbours (Å) after each atom.
Sites, in units of the cell vectors:
1 Te 0.2356 0.7600 0.6134  3 Cl 2.36-2.37
2 Te 0.2400 0.7644 0.8866  3 Cl 2.36-2.37
3 Te 0.3408 0.3860 0.1838  3 Cl 2.37
4 Te 0.3860 0.3408 0.6838  3 Cl 2.37
5 Te 0.6140 0.6592 0.3162  3 Cl 2.37
6 Te 0.6592 0.6140 0.8162  3 Cl 2.37
7 Te 0.7600 0.2356 0.1134  3 Cl 2.36-2.37
8 Te 0.7644 0.2400 0.3866  3 Cl 2.36-2.37
9 Cl 0.0213 0.9758 0.6262  1 Te 2.37
10 Cl 0.0242 0.9787 0.8738  1 Te 2.37
11 Cl 0.1323 0.6418 0.4620  1 Te 2.36
12 Cl 0.1343 0.6113 0.1920  1 Te 2.37
13 Cl 0.1343 0.6213 0.6900  3 Te 2.93-2.96
14 Cl 0.1416 0.6500 0.9337  1 Te 2.36
15 Cl 0.2448 0.2815 0.0262  1 Te 2.37
16 Cl 0.2568 0.2741 0.2434  1 Te 2.37
17 Cl 0.2741 0.2568 0.7434  1 Te 2.37
18 Cl 0.2815 0.2448 0.5262  1 Te 2.37
19 Cl 0.3500 0.8584 0.5663  1 Te 2.36
20 Cl 0.3582 0.8677 0.0380  1 Te 2.36
21 Cl 0.3787 0.8657 0.8100  3 Te 2.93-2.96
22 Cl 0.3887 0.8657 0.3080  1 Te 2.37
23 Cl 0.4935 0.5039 0.1297  3 Te 2.92-2.95
24 Cl 0.4961 0.5065 0.3703  3 Te 2.92-2.95
25 Cl 0.5039 0.4935 0.6297  3 Te 2.92-2.95
26 Cl 0.5065 0.4961 0.8703  3 Te 2.92-2.95
27 Cl 0.6113 0.1343 0.6920  1 Te 2.37
28 Cl 0.6213 0.1343 0.1900  3 Te 2.93-2.96
29 Cl 0.6418 0.1323 0.9620  1 Te 2.36
30 Cl 0.6500 0.1416 0.4337  1 Te 2.36
31 Cl 0.7185 0.7552 0.4738  1 Te 2.37
32 Cl 0.7259 0.7432 0.2566  1 Te 2.37
33 Cl 0.7432 0.7259 0.7566  1 Te 2.37
34 Cl 0.7552 0.7185 0.9738  1 Te 2.37
35 Cl 0.8584 0.3500 0.0663  1 Te 2.36
36 Cl 0.8657 0.3787 0.3100  3 Te 2.93-2.96
37 Cl 0.8657 0.3887 0.8080  1 Te 2.37
38 Cl 0.8677 0.3582 0.5380  1 Te 2.36
39 Cl 0.9758 0.0213 0.1262  1 Te 2.37
40 Cl 0.9787 0.0242 0.3738  1 Te 2.37

=====

Material: ErMgGa
Method: DFT, PBE-GGA
State: relaxed

## Properties
symmetry = P-62m (189)
electronic total energy = -0.2606 Ry/atom

Cell lengths 7.2649, 7.2649, 4.3882 Å; angles 90.00, 90.00, 120.00 degrees
With the nearest neighbours (Å) after each atom.
Sites, in units of the cell vectors:
1 Er 0.0000 0.5792 0.0000  5 Ga 3.06-3.09, 2 Mg 3.27
2 Er 0.4208 0.4208 0.0000  5 Ga 3.06-3.09, 2 Mg 3.27
3 Er 0.5792 0.0000 0.0000  5 Ga 3.06-3.09, 2 Mg 3.27
4 Mg 0.0000 0.2462 0.5000  4 Ga 2.79-2.83, 2 Mg 3.10
5 Mg 0.2462 0.0000 0.5000  4 Ga 2.79-2.83, 2 Mg 3.10
6 Mg 0.7538 0.7538 0.5000  4 Ga 2.79-2.83, 2 Mg 3.10
7 Ga 0.0000 0.0000 0.0000  6 Mg 2.83, 3 Er 3.06
8 Ga 0.3333 0.6667 0.5000  3 Mg 2.79, 6 Er 3.09
9 Ga 0.6667 0.3333 0.5000  3 Mg 2.79, 6 Er 3.09

=====

Material: Zr6NiSb2
Method: DFT, PBE-GGA
State: relaxed

## Properties
symmetry = P-62m (189)
E (MP2020) = -7.8829 eV/atom
electronic total energy = -0.5762 Ry/atom

Cell lengths 7.8144, 7.8144, 3.6856 Å; angles 90.00, 90.00, 120.00 degrees
With the nearest neighbours (Å) after each atom.
Sites, in units of the cell vectors:
1 Zr 0.0000 0.2416 0.0000  2 Ni 2.64
2 Zr 0.0000 0.5968 0.5000  4 Sb 3.01, 1 Ni 3.15, 6 Zr 3.31-3.33
3 Zr 0.2416 0.0000 0.0000  2 Ni 2.64
4 Zr 0.4032 0.4032 0.5000  4 Sb 3.01, 1 Ni 3.15, 6 Zr 3.31-3.33
5 Zr 0.5968 0.0000 0.5000  4 Sb 3.01, 1 Ni 3.15, 6 Zr 3.31-3.33
6 Zr 0.7584 0.7584 0.0000  2 Ni 2.64
7 Ni 0.0000 0.0000 0.5000  6 Zr 2.64
8 Sb 0.3333 0.6667 0.0000  9 Zr 3.01-3.03
9 Sb 0.6667 0.3333 0.0000  9 Zr 3.01-3.03

=====

Material: Li2AgSn
Method: DFT, PBE-GGA
State: relaxed

## Properties
symmetry = F-43m (216)
electronic total energy = -0.2231 Ry/atom

Cell lengths 6.5956, 6.5956, 6.5956 Å; angles 90.00, 90.00, 90.00 degrees
With the nearest neighbours (Å) after each atom.
Sites, in units of the cell vectors:
1 Li 0.0000 0.0000 0.0000  4 Sn 2.86, 4 Li 2.86
2 Li 0.0000 0.5000 0.5000  4 Sn 2.86, 4 Li 2.86
3 Li 0.2500 0.2500 0.2500  4 Li 2.86, 4 Ag 2.86
4 Li 0.2500 0.7500 0.7500  4 Li 2.86, 4 Ag 2.86
5 Li 0.5000 0.0000 0.5000  4 Sn 2.86, 4 Li 2.86
6 Li 0.5000 0.5000 0.0000  4 Sn 2.86, 4 Li 2.86
7 Li 0.7500 0.2500 0.7500  4 Li 2.86, 4 Ag 2.86
8 Li 0.7500 0.7500 0.2500  4 Li 2.86, 4 Ag 2.86
9 Ag 0.0000 0.0000 0.5000  4 Sn 2.86, 4 Li 2.86
10 Ag 0.0000 0.5000 0.0000  4 Sn 2.86, 4 Li 2.86
11 Ag 0.5000 0.0000 0.0000  4 Sn 2.86, 4 Li 2.86
12 Ag 0.5000 0.5000 0.5000  4 Sn 2.86, 4 Li 2.86
13 Sn 0.2500 0.2500 0.7500  4 Li 2.86, 4 Ag 2.86
14 Sn 0.2500 0.7500 0.2500  4 Li 2.86, 4 Ag 2.86
15 Sn 0.7500 0.2500 0.2500  4 Li 2.86, 4 Ag 2.86
16 Sn 0.7500 0.7500 0.7500  4 Li 2.86, 4 Ag 2.86